Below is an optimized crystal structure of Sr3CaFe4O10, with properties calculated at the PBE+U level.

Results
- DFT total energy (Ha/atom) = -0.2396
- formation energy from the elements (eV/atom) = -2.378
- magnetic moment (Bohr magnetons per cell) = 159.73

Cell: 11.1599 11.5354 17.4717 Å, 109.24 108.77 89.95°
Atoms (fractional coordinates):
O 0.4274 0.5586 0.2409
O 0.5817 0.0961 0.6401
O 0.6274 0.6216 0.9926
O 0.8890 0.8811 0.0141
O 0.1326 0.3778 0.5084
O 0.4453 0.9034 0.8621
O 0.3736 0.1188 0.4902
O 0.1890 0.2018 0.3575
O 0.3300 0.7947 0.6410
O 0.3828 0.8804 0.5083
O 0.3740 0.1181 0.9914
O 0.3881 0.3832 0.0163
O 0.1932 0.2101 0.8615
O 0.6331 0.3782 0.5088
O 0.1860 0.9397 0.7585
O 0.8781 0.6224 0.9912
O 0.6883 0.9414 0.7513
O 0.4357 0.0587 0.7509
O 0.8340 0.2823 0.1404
O 0.1219 0.6251 0.9901
O 0.6923 0.2076 0.8615
O 0.1764 0.9314 0.2418
O 0.8836 0.3869 0.0139
O 0.8829 0.3807 0.5084
O 0.0871 0.6051 0.1396
O 0.5880 0.5997 0.1395
O 0.0833 0.0944 0.6415
O 0.1275 0.1168 0.9890
O 0.6239 0.1219 0.4906
O 0.3349 0.2830 0.1404
O 0.4378 0.5600 0.7514
O 0.6327 0.8778 0.5083
O 0.9426 0.4014 0.8614
O 0.1236 0.6217 0.4908
O 0.1863 0.4446 0.7516
O 0.4391 0.9057 0.3577
O 0.8338 0.2970 0.6414
O 0.8746 0.1175 0.9920
O 0.1884 0.7051 0.3589
O 0.1236 0.1218 0.4906
O 0.6858 0.4403 0.7504
O 0.1939 0.7161 0.8612
O 0.6254 0.1243 0.9938
O 0.6886 0.2053 0.3591
O 0.3325 0.7826 0.1397
O 0.9276 0.0588 0.2409
O 0.6975 0.7075 0.8615
O 0.3734 0.6181 0.9920
O 0.9456 0.8951 0.8607
O 0.0886 0.0984 0.1388
O 0.1357 0.8791 0.0125
O 0.1855 0.4423 0.2486
O 0.6368 0.3805 0.0159
O 0.8320 0.7934 0.6398
O 0.4417 0.4054 0.3585
O 0.5864 0.1048 0.1399
O 0.6387 0.8825 0.0138
O 0.1383 0.3826 0.0140
O 0.3826 0.3804 0.5081
O 0.3315 0.2940 0.6402
O 0.3817 0.8866 0.0123
O 0.9278 0.5567 0.2405
O 0.8363 0.7835 0.1407
O 0.8829 0.8804 0.5084
O 0.8740 0.1191 0.4908
O 0.8740 0.6191 0.4906
O 0.1328 0.8779 0.5088
O 0.4426 0.4032 0.8614
O 0.0798 0.5962 0.6408
O 0.5819 0.5964 0.6400
O 0.9366 0.5688 0.7588
O 0.9391 0.4058 0.3578
O 0.6239 0.6217 0.4905
O 0.3737 0.6192 0.4906
O 0.6766 0.4315 0.2419
O 0.4276 0.0565 0.2404
O 0.9363 0.0587 0.7515
O 0.6891 0.7018 0.3576
O 0.9417 0.9055 0.3587
O 0.6856 0.9422 0.2486
Sr 0.8069 0.5641 0.6103
Sr 0.1969 0.4367 0.8926
Sr 0.3060 0.5639 0.6090
Sr 0.6979 0.9360 0.8926
Sr 0.4459 0.2035 0.3885
Sr 0.1966 0.4354 0.3902
Sr 0.9477 0.2056 0.8925
Sr 0.9461 0.7037 0.3888
Sr 0.4455 0.7037 0.3886
Sr 0.0564 0.2948 0.6091
Sr 0.8063 0.0643 0.6093
Sr 0.5553 0.7943 0.1092
Sr 0.1962 0.9354 0.3891
Sr 0.3061 0.0637 0.6085
Sr 0.0560 0.2935 0.1094
Sr 0.0567 0.7959 0.6102
Sr 0.4472 0.2056 0.8927
Sr 0.5559 0.2948 0.6085
Sr 0.4467 0.7060 0.8924
Sr 0.5561 0.7951 0.6088
Sr 0.6964 0.4356 0.3895
Sr 0.6982 0.4372 0.8926
Sr 0.9455 0.2037 0.3885
Sr 0.6966 0.9354 0.3902
Fe 0.8591 0.4137 0.7526
Fe 0.8571 0.9094 0.2468
Fe 0.2571 0.2508 0.0030
Fe 0.6080 0.0902 0.7509
Fe 0.3564 0.9102 0.7524
Fe 0.3522 0.9083 0.2455
Fe 0.2536 0.7499 0.4998
Fe 0.7559 0.2521 0.0039
Fe 0.5073 0.5013 0.0048
Fe 0.6100 0.5912 0.7512
Fe 0.5039 0.0000 0.4997
Fe 0.3569 0.4092 0.2468
Fe 0.0042 0.9997 0.4997
Fe 0.8603 0.9079 0.7516
Fe 0.0062 0.5028 0.0028
Fe 0.1090 0.0890 0.7528
Fe 0.0036 0.5002 0.4999
Fe 0.2545 0.7517 0.0021
Fe 0.7540 0.2502 0.4998
Fe 0.7542 0.7495 0.5000
Fe 0.8525 0.4084 0.2458
Fe 0.7583 0.7515 0.0030
Fe 0.1039 0.0856 0.2456
Fe 0.1046 0.5907 0.2469
Fe 0.6045 0.0906 0.2472
Fe 0.5060 0.0022 0.0030
Fe 0.0074 0.9998 0.0028
Fe 0.2538 0.2495 0.4996
Fe 0.5045 0.5001 0.4998
Fe 0.6038 0.5857 0.2460
Fe 0.1067 0.5946 0.7528
Fe 0.3580 0.4106 0.7511
Ca 0.1995 0.9342 0.8964
Ca 0.5550 0.2884 0.1059
Ca 0.9504 0.7123 0.8963
Ca 0.3034 0.5669 0.1053
Ca 0.3035 0.0664 0.1043
Ca 0.8033 0.0666 0.1051
Ca 0.0548 0.7881 0.1048
Ca 0.8037 0.5672 0.1054